Here is crystalline MnBi at its relaxed geometry from the Materials Project database. Energies are from PBE.

Unit cell a=4.320 b=4.320 c=5.745 alpha=90.00 beta=90.00 gamma=120.00
Positions (direct):
1 Mn 0.000 0.000 0.500
2 Mn 0.000 0.000 0.000
3 Bi 0.333 0.667 0.750
4 Bi 0.667 0.333 0.250

- calculated volume (Å³/cell) = 93
- formation energy from the elements (kJ per mole of atoms) = 20.1
- SG = P6_3/mmc (194)
- crystal system = hexagonal

Here is crystalline CaSiO3 at its relaxed geometry from the Materials Project database. Energies are from PBE.

Unit cell a=5.115 b=5.115 c=5.115 alpha=120.47 beta=120.47 gamma=89.18
Positions (direct):
1 O 0.250 0.250 0.000
2 O 0.278 0.222 0.500
3 O 0.750 0.750 0.000
4 O 0.778 0.278 0.056
5 O 0.722 0.778 0.500
6 O 0.222 0.722 0.944
7 Ca 0.750 0.250 0.500
8 Ca 0.250 0.750 0.500
9 Si 0.000 0.000 0.000
10 Si 0.500 0.500 0.000

- calculated volume (Å³/cell) = 94
- formation energy from the elements (kJ per mole of atoms) = -309.4
- SG = I4/mcm (140)
- crystal system = tetragonal

Here is crystalline Cs2CuMoCl6 at its relaxed geometry from the Materials Project database. Energies are from PBE.

Unit cell a=7.227 b=7.227 c=7.227 alpha=60.00 beta=60.00 gamma=60.00
Positions (direct):
1 Cl 0.745 0.745 0.255
2 Cl 0.255 0.745 0.745
3 Cl 0.745 0.255 0.255
4 Cl 0.255 0.745 0.255
5 Cl 0.255 0.255 0.745
6 Cl 0.745 0.255 0.745
7 Cs 0.250 0.250 0.250
8 Cs 0.750 0.750 0.750
9 Cu 0.000 0.000 0.000
10 Mo 0.500 0.500 0.500

- calculated volume (Å³/cell) = 267
- formation energy from the elements (kJ per mole of atoms) = -150.9
- SG = Fm-3m (225)
- crystal system = cubic

Here is crystalline CoH12C2Br4N2 at its relaxed geometry from the Materials Project database. Energies are from PBE.

Unit cell a=8.204 b=13.409 c=11.599 alpha=90.00 beta=96.37 gamma=90.00
Positions (direct):
1 Br 0.245 0.617 0.233
2 Br 0.014 0.380 0.126
3 Br 0.692 0.635 0.580
4 Br 0.308 0.365 0.420
5 Br 0.014 0.120 0.626
6 Br 0.692 0.865 0.080
7 Br 0.308 0.135 0.920
8 Br 0.504 0.892 0.372
9 Br 0.755 0.117 0.267
10 Br 0.504 0.608 0.872
11 Br 0.245 0.883 0.733
12 Br 0.755 0.383 0.767
13 Br 0.986 0.880 0.374
14 Br 0.496 0.108 0.628
15 Br 0.986 0.620 0.874
16 Br 0.496 0.392 0.128
17 H 0.284 0.800 0.924
18 H 0.801 0.663 0.083
19 H 0.749 0.953 0.795
20 H 0.326 0.066 0.417
21 H 0.720 0.276 0.961
22 H 0.418 0.684 0.542
23 H 0.674 0.934 0.583
24 H 0.946 0.342 0.471
25 H 0.284 0.700 0.424
26 H 0.806 0.141 0.843
27 H 0.749 0.547 0.295
28 H 0.643 0.660 0.254
29 H 0.199 0.163 0.417
30 H 0.280 0.724 0.039
31 H 0.582 0.184 0.958
32 H 0.054 0.842 0.029
33 H 0.798 0.440 0.466
34 H 0.125 0.451 0.880
35 H 0.875 0.951 0.620
36 H 0.138 0.161 0.211
37 H 0.798 0.060 0.966
38 H 0.862 0.839 0.789
39 H 0.125 0.049 0.380
40 H 0.357 0.160 0.246
41 H 0.054 0.658 0.529
42 H 0.357 0.340 0.746
43 H 0.801 0.837 0.583
44 H 0.202 0.940 0.034
45 H 0.716 0.300 0.576
46 H 0.194 0.641 0.657
47 H 0.720 0.224 0.461
48 H 0.418 0.816 0.042
49 H 0.251 0.453 0.705
50 H 0.138 0.339 0.711
51 H 0.326 0.434 0.917
52 H 0.806 0.359 0.343
53 H 0.582 0.316 0.458
54 H 0.199 0.337 0.917
55 H 0.643 0.840 0.754
56 H 0.875 0.549 0.120
57 H 0.674 0.566 0.083
58 H 0.946 0.158 0.971
59 H 0.194 0.859 0.157
60 H 0.862 0.661 0.289
61 H 0.202 0.560 0.534
62 H 0.251 0.047 0.205
63 H 0.280 0.776 0.539
64 H 0.716 0.200 0.076
65 N 0.297 0.796 0.014
66 N 0.778 0.902 0.627
67 N 0.297 0.704 0.514
68 N 0.703 0.296 0.486
69 N 0.222 0.402 0.873
70 N 0.703 0.204 0.986
71 N 0.222 0.098 0.373
72 N 0.778 0.598 0.127
73 C 0.178 0.864 0.062
74 C 0.822 0.136 0.938
75 C 0.243 0.382 0.750
76 C 0.757 0.882 0.750
77 C 0.822 0.364 0.438
78 C 0.243 0.118 0.250
79 C 0.757 0.618 0.250
80 C 0.178 0.636 0.562
81 Co 0.268 0.062 0.728
82 Co 0.732 0.562 0.772
83 Co 0.732 0.938 0.272
84 Co 0.268 0.438 0.228

- calculated volume (Å³/cell) = 1268
- formation energy from the elements (kJ per mole of atoms) = -40.6
- SG = P2_1/c (14)
- crystal system = monoclinic

Here is crystalline Li6Zn3P4S16 at its relaxed geometry from the Materials Project database. Energies are from PBE.

Unit cell a=9.334 b=11.599 c=23.151 alpha=89.93 beta=89.95 gamma=90.01
Positions (direct):
1 P 0.750 0.750 0.250
2 P 0.748 0.751 0.749
3 P 0.751 0.246 0.498
4 P 0.249 0.001 0.627
5 P 0.246 0.504 0.872
6 P 0.751 0.250 0.249
7 P 0.252 0.499 0.375
8 P 0.252 0.004 0.127
9 P 0.250 0.500 0.126
10 P 0.252 0.995 0.876
11 P 0.750 0.248 0.755
12 P 0.251 0.495 0.621
13 P 0.750 0.256 0.998
14 P 0.748 0.748 0.001
15 P 0.248 0.001 0.376
16 P 0.749 0.751 0.500
17 Li 0.998 0.499 0.749
18 Li 0.501 0.503 0.749
19 Li 0.011 0.247 0.879
20 Li 0.508 0.997 0.500
21 Li 0.506 0.999 0.250
22 Li 0.999 0.252 0.372
23 Li 0.995 0.748 0.625
24 Li 0.746 0.009 0.878
25 Li 0.516 0.252 0.625
26 Li 0.009 0.748 0.875
27 Li 0.001 0.751 0.375
28 Li 0.252 0.257 0.750
29 Li 0.502 0.500 0.249
30 Li 0.007 0.002 0.002
31 Li 0.989 0.250 0.625
32 Li 0.511 0.503 0.499
33 Li 0.498 0.002 0.749
34 Li 0.253 0.252 0.503
35 Li 0.006 0.249 0.125
36 Li 0.754 0.491 0.874
37 Li 0.491 0.497 0.002
38 Li 0.492 0.251 0.877
39 Li 0.001 0.753 0.125
40 Li 0.492 0.000 0.002
41 S 0.132 0.393 0.675
42 S 0.635 0.853 0.443
43 S 0.140 0.896 0.183
44 S 0.864 0.856 0.051
45 S 0.365 0.611 0.178
46 S 0.862 0.644 0.699
47 S 0.124 0.897 0.926
48 S 0.626 0.142 0.806
49 S 0.138 0.896 0.432
50 S 0.368 0.608 0.926
51 S 0.862 0.862 0.552
52 S 0.135 0.104 0.320
53 S 0.634 0.151 0.053
54 S 0.636 0.853 0.194
55 S 0.870 0.360 0.052
56 S 0.140 0.106 0.073
57 S 0.367 0.111 0.676
58 S 0.863 0.862 0.303
59 S 0.373 0.110 0.180
60 S 0.866 0.139 0.198
61 S 0.364 0.387 0.323
62 S 0.626 0.644 0.053
63 S 0.363 0.890 0.075
64 S 0.639 0.354 0.442
65 S 0.136 0.396 0.182
66 S 0.134 0.601 0.321
67 S 0.879 0.351 0.806
68 S 0.863 0.639 0.447
69 S 0.371 0.112 0.428
70 S 0.868 0.141 0.700
71 S 0.367 0.103 0.926
72 S 0.636 0.353 0.194
73 S 0.636 0.648 0.556
74 S 0.137 0.605 0.070
75 S 0.127 0.104 0.570
76 S 0.639 0.145 0.306
77 S 0.363 0.606 0.674
78 S 0.364 0.892 0.574
79 S 0.628 0.853 0.944
80 S 0.139 0.397 0.930
81 S 0.129 0.395 0.431
82 S 0.635 0.645 0.306
83 S 0.365 0.889 0.820
84 S 0.131 0.603 0.569
85 S 0.628 0.360 0.946
86 S 0.361 0.387 0.074
87 S 0.376 0.391 0.569
88 S 0.135 0.103 0.819
89 S 0.863 0.359 0.551
90 S 0.635 0.351 0.702
91 S 0.637 0.144 0.552
92 S 0.365 0.609 0.428
93 S 0.866 0.862 0.803
94 S 0.626 0.855 0.696
95 S 0.630 0.648 0.806
96 S 0.366 0.892 0.325
97 S 0.874 0.141 0.445
98 S 0.862 0.363 0.302
99 S 0.129 0.896 0.679
100 S 0.868 0.144 0.948
101 S 0.866 0.639 0.198
102 S 0.369 0.396 0.822
103 S 0.868 0.638 0.947
104 S 0.128 0.605 0.820
105 Zn 0.497 0.750 0.626
106 Zn 0.993 0.999 0.499
107 Zn 0.999 0.500 0.249
108 Zn 0.999 0.998 0.249
109 Zn 0.487 0.751 0.875
110 Zn 0.506 0.251 0.373
111 Zn 0.498 0.750 0.124
112 Zn 0.499 0.248 0.125
113 Zn 0.993 0.502 0.501
114 Zn 0.006 0.498 0.001
115 Zn 0.500 0.748 0.375
116 Zn 0.999 0.000 0.750

- calculated volume (Å³/cell) = 2507
- formation energy from the elements (kJ per mole of atoms) = -96.7
- excess energy over the best structure of this formula in the dataset (meV/atom) = 3
- SG = P1 (1)
- crystal system = triclinic

Here is crystalline B3Pb6O10F at its relaxed geometry from the Materials Project database. Energies are from PBE.

Unit cell a=6.863 b=11.403 c=17.279 alpha=90.00 beta=90.00 gamma=90.00
Positions (direct):
1 O 0.178 0.608 0.532
2 O 0.774 0.142 0.743
3 O 0.270 0.096 0.535
4 O 0.228 0.006 0.087
5 O 0.772 0.494 0.587
6 O 0.226 0.858 0.257
7 O 0.772 0.006 0.587
8 O 0.228 0.994 0.413
9 O 0.774 0.358 0.743
10 O 0.822 0.892 0.032
11 O 0.774 0.642 0.757
12 O 0.178 0.108 0.968
13 O 0.226 0.358 0.243
14 O 0.772 0.506 0.913
15 O 0.099 0.750 0.151
16 O 0.730 0.596 0.465
17 O 0.772 0.994 0.913
18 O 0.418 0.250 0.091
19 O 0.730 0.404 0.035
20 O 0.730 0.904 0.465
21 O 0.822 0.608 0.032
22 O 0.582 0.250 0.591
23 O 0.178 0.892 0.532
24 O 0.228 0.506 0.413
25 O 0.901 0.250 0.849
26 O 0.178 0.392 0.968
27 O 0.099 0.250 0.349
28 O 0.582 0.750 0.909
29 O 0.226 0.142 0.243
30 O 0.228 0.494 0.087
31 O 0.418 0.750 0.409
32 O 0.822 0.392 0.468
33 O 0.901 0.750 0.651
34 O 0.822 0.108 0.468
35 O 0.270 0.404 0.535
36 O 0.226 0.642 0.257
37 O 0.270 0.596 0.965
38 O 0.730 0.096 0.035
39 O 0.774 0.858 0.757
40 O 0.270 0.904 0.965
41 F 0.663 0.250 0.233
42 F 0.663 0.750 0.267
43 F 0.337 0.250 0.733
44 F 0.337 0.750 0.767
45 Pb 0.968 0.435 0.345
46 Pb 0.505 0.908 0.834
47 Pb 0.430 0.750 0.030
48 Pb 0.032 0.565 0.655
49 Pb 0.495 0.408 0.166
50 Pb 0.570 0.750 0.530
51 Pb 0.032 0.435 0.845
52 Pb 0.505 0.092 0.666
53 Pb 0.032 0.935 0.655
54 Pb 0.495 0.092 0.166
55 Pb 0.032 0.065 0.845
56 Pb 0.505 0.408 0.666
57 Pb 0.916 0.750 0.936
58 Pb 0.968 0.935 0.155
59 Pb 0.505 0.592 0.834
60 Pb 0.968 0.565 0.155
61 Pb 0.968 0.065 0.345
62 Pb 0.084 0.250 0.064
63 Pb 0.570 0.250 0.970
64 Pb 0.495 0.592 0.334
65 Pb 0.430 0.250 0.470
66 Pb 0.084 0.750 0.436
67 Pb 0.495 0.908 0.334
68 Pb 0.916 0.250 0.564
69 B 0.774 0.496 0.506
70 B 0.226 0.004 0.006
71 B 0.806 0.750 0.725
72 B 0.194 0.250 0.275
73 B 0.226 0.996 0.494
74 B 0.774 0.504 0.994
75 B 0.774 0.004 0.506
76 B 0.194 0.750 0.225
77 B 0.774 0.996 0.994
78 B 0.226 0.496 0.006
79 B 0.226 0.504 0.494
80 B 0.806 0.250 0.775

- calculated volume (Å³/cell) = 1352
- formation energy from the elements (kJ per mole of atoms) = -204.7
- SG = Pbcm (57)
- crystal system = orthorhombic

Here is crystalline K2BeC4O8 at its relaxed geometry from the Materials Project database. Energies are from PBE.

Unit cell a=6.737 b=9.154 c=13.605 alpha=90.00 beta=90.00 gamma=90.00
Positions (direct):
1 C 0.176 0.665 0.357
2 C 0.676 0.335 0.143
3 C 0.176 0.835 0.357
4 C 0.741 0.750 0.093
5 C 0.409 0.250 0.820
6 C 0.824 0.335 0.643
7 C 0.676 0.165 0.143
8 C 0.091 0.250 0.320
9 C 0.759 0.750 0.593
10 C 0.241 0.250 0.407
11 C 0.824 0.165 0.643
12 C 0.909 0.750 0.680
13 C 0.324 0.835 0.857
14 C 0.259 0.250 0.907
15 C 0.591 0.750 0.180
16 C 0.324 0.665 0.857
17 O 0.959 0.387 0.703
18 O 0.041 0.613 0.297
19 O 0.289 0.909 0.409
20 O 0.409 0.750 0.168
21 O 0.789 0.091 0.091
22 O 0.683 0.750 0.265
23 O 0.688 0.750 0.006
24 O 0.789 0.409 0.091
25 O 0.909 0.250 0.332
26 O 0.076 0.250 0.875
27 O 0.541 0.113 0.203
28 O 0.312 0.250 0.994
29 O 0.459 0.613 0.797
30 O 0.211 0.591 0.909
31 O 0.959 0.113 0.703
32 O 0.711 0.091 0.591
33 O 0.817 0.750 0.765
34 O 0.424 0.250 0.375
35 O 0.317 0.250 0.735
36 O 0.041 0.887 0.297
37 O 0.576 0.750 0.625
38 O 0.188 0.250 0.494
39 O 0.591 0.250 0.832
40 O 0.183 0.250 0.235
41 O 0.459 0.887 0.797
42 O 0.924 0.750 0.125
43 O 0.812 0.750 0.506
44 O 0.091 0.750 0.668
45 O 0.711 0.409 0.591
46 O 0.541 0.387 0.203
47 O 0.289 0.591 0.409
48 O 0.211 0.909 0.909
49 Be 0.923 0.750 0.246
50 Be 0.577 0.750 0.746
51 Be 0.077 0.250 0.754
52 Be 0.423 0.250 0.254
53 K 0.811 0.002 0.895
54 K 0.189 0.998 0.105
55 K 0.311 0.998 0.605
56 K 0.311 0.502 0.605
57 K 0.811 0.498 0.895
58 K 0.689 0.002 0.395
59 K 0.189 0.502 0.105
60 K 0.689 0.498 0.395

- calculated volume (Å³/cell) = 839
- formation energy from the elements (kJ per mole of atoms) = -190.0
- SG = Pnma (62)
- crystal system = orthorhombic

Here is crystalline Co3H at its relaxed geometry from the Materials Project database. Energies are from PBE.

Unit cell a=3.777 b=3.777 c=3.777 alpha=60.00 beta=60.00 gamma=60.00
Positions (direct):
1 H 0.000 0.000 0.000
2 Co 0.750 0.750 0.750
3 Co 0.250 0.250 0.250
4 Co 0.500 0.500 0.500

- calculated volume (Å³/cell) = 38
- formation energy from the elements (kJ per mole of atoms) = 48.9
- excess energy over the best structure of this formula in the dataset (meV/atom) = 548
- SG = Fm-3m (225)
- crystal system = cubic

Here is crystalline DyFe5 at its relaxed geometry from the Materials Project database. Energies are from PBE.

Unit cell a=3.953 b=5.006 c=5.006 alpha=120.00 beta=90.00 gamma=90.00
Positions (direct):
1 Fe 0.500 0.500 0.500
2 Fe 0.000 0.667 0.333
3 Fe 0.500 0.500 0.000
4 Fe 0.500 0.000 0.500
5 Fe 0.000 0.333 0.667
6 Dy 0.000 0.000 0.000

- calculated volume (Å³/cell) = 86
- formation energy from the elements (kJ per mole of atoms) = -4.4
- SG = P6/mmm (191)
- crystal system = hexagonal

Here is crystalline Te at its relaxed geometry from the Materials Project database. Energies are from PBE.

Unit cell a=3.197 b=3.197 c=3.197 alpha=95.09 beta=95.09 gamma=95.09
Positions (direct):
1 Te 0.000 0.000 0.000

- calculated volume (Å³/cell) = 32
- formation energy from the elements (kJ per mole of atoms) = 5.2
- excess energy over the best structure of this formula in the dataset (meV/atom) = 54
- SG = R-3m (166)
- crystal system = trigonal